# 1
KMg6BO8: optimized geometry, PBE.

a = 4.4889 Å, b = 4.4889 Å, c = 8.5310 Å
α = 90.00°, β = 90.00°, γ = 90.00°
Closest atoms and distances in Å follow each position.
Space group P4/mmm (No. 123)
Symmetry-distinct sites (fractional):
K (0.0000, 0.0000, 0.0000) x1  6 O 2.24-2.35
Mg (0.0000, 0.0000, 0.5000) x1  2 O 1.91
Mg (0.0000, 0.5000, 0.2296) x4  1 O 1.96
Mg (0.5000, 0.5000, 0.5000) x1  4 O 2.24
B (0.5000, 0.5000, 0.0000) x1  2 O 1.47
O (0.0000, 0.0000, 0.2755) x2  1 Mg 1.91
O (0.0000, 0.5000, 0.0000) x2  2 Mg 1.96
O (0.0000, 0.5000, 0.5000) x2  6 Mg 2.24-2.31
O (0.5000, 0.5000, 0.1721) x2  1 B 1.47

Results
Total moment = 0.006 μB/f.u.
ΔH_f (0 K) = -36.625 eV/f.u.


# 2
KMg30BO32: optimized geometry, PBE.

a = 8.6817 Å, b = 8.6817 Å, c = 8.3738 Å
α = 90.00°, β = 90.00°, γ = 90.00°
Closest atoms and distances in Å follow each position.
Space group P4/mmm (No. 123)
Symmetry-distinct sites (fractional):
K (0.0000, 0.0000, 0.0000) x1  4 O 2.35
Mg (0.0000, 0.2623, 0.2554) x8  5 O 2.05-2.14
Mg (0.0000, 0.5000, 0.0000) x2  6 O 1.99-2.21
Mg (0.0000, 0.5000, 0.5000) x2  6 O 2.05-2.19
Mg (0.2476, 0.2476, 0.5000) x4  6 O 2.09-2.19
Mg (0.2513, 0.2513, 0.0000) x4  6 O 2.09-2.19
Mg (0.2509, 0.5000, 0.2505) x8  6 O 2.09-2.20
Mg (0.5000, 0.5000, 0.0000) x1  6 O 2.10-2.13
Mg (0.5000, 0.5000, 0.5000) x1  6 O 2.09-2.15
B (0.0000, 0.0000, 0.5000) x1  2 O 1.37
O (0.0000, 0.0000, 0.3366) x2  1 B 1.37
O (0.0000, 0.2644, 0.5000) x4  5 Mg 2.05-2.15
O (0.0000, 0.2709, 0.0000) x4  5 Mg 1.99-2.19
O (0.0000, 0.5000, 0.2517) x4  6 Mg 2.06-2.18
O (0.2464, 0.2464, 0.2499) x8  6 Mg 2.09-2.20
O (0.2521, 0.5000, 0.5000) x4  6 Mg 2.09-2.19
O (0.2542, 0.5000, 0.0000) x4  6 Mg 2.10-2.21
O (0.5000, 0.5000, 0.2509) x2  6 Mg 2.09-2.16

Results
Total moment = 0.018 μB/f.u.
ΔH_f (0 K) = -187.291 eV/f.u.


# 3
KMg6BO7: optimized geometry, PBE.

a = 4.6958 Å, b = 4.6958 Å, c = 7.8965 Å
α = 90.00°, β = 90.00°, γ = 90.00°
Closest atoms and distances in Å follow each position.
Space group P4mm (No. 99)
Symmetry-distinct sites (fractional):
K (0.0000, 0.0000, 0.0000) x1  5 O 2.35-2.61
Mg (0.0000, 0.5000, 0.2567) x2  2 O 1.90-2.03
Mg (0.0000, 0.5000, 0.7421) x2  2 O 1.93-2.04
Mg (0.5000, 0.5000, 0.4985) x1  2 O 1.98
Mg (0.5000, 0.5000, 0.9988) x1  2 O 1.97
B (0.0000, 0.0000, 0.4955) x1  1 O 1.38
O (0.0000, 0.0000, 0.6699) x1  1 B 1.38
O (0.0000, 0.5000, 0.0002) x2  2 Mg 2.03-2.04
O (0.0000, 0.5000, 0.4978) x2  2 Mg 1.90-1.93
O (0.5000, 0.5000, 0.2483) x1  2 Mg 1.97-1.98
O (0.5000, 0.5000, 0.7491) x1  2 Mg 1.97-1.98

Results
Total moment = 0.000 μB/f.u.
ΔH_f (0 K) = -33.342 eV/f.u.


# 4
KMg14BO15: optimized geometry, PBE.

a = 4.4151 Å, b = 8.6488 Å, c = 8.5127 Å
α = 90.00°, β = 90.00°, γ = 90.00°
Closest atoms and distances in Å follow each position.
Space group Pmm2 (No. 25)
Symmetry-distinct sites (fractional):
K (0.0000, 0.0000, 0.0000) x1  6 O 2.21-2.42
Mg (0.0000, 0.0000, 0.4998) x1  2 O 1.92
Mg (0.0000, 0.2414, 0.2569) x2  6 O 2.07-2.29
Mg (0.0000, 0.2427, 0.7419) x2  5 O 2.06-2.24
Mg (0.0000, 0.5000, 0.9988) x1  2 O 1.90
Mg (0.5000, 0.0000, 0.2511) x1  6 O 2.13-2.22
Mg (0.5000, 0.0000, 0.7488) x1  6 O 2.11-2.22
Mg (0.5000, 0.2518, 0.0007) x2  6 O 2.13-2.22
Mg (0.5000, 0.2524, 0.4996) x2  6 O 2.12-2.21
Mg (0.5000, 0.5000, 0.2603) x1  6 O 2.03-2.26
Mg (0.5000, 0.5000, 0.7344) x1  3 O 2.01-2.11
B (0.0000, 0.5000, 0.4830) x1  1 O 1.42
O (0.0000, 0.0000, 0.2744) x1  3 Mg 1.92-2.09
O (0.0000, 0.0000, 0.7255) x1  3 Mg 1.92-2.10
O (0.0000, 0.2538, 0.4998) x2  5 Mg 2.06-2.21, 1 B 2.13
O (0.0000, 0.2799, 0.0023) x2  1 Mg 1.90
O (0.0000, 0.5000, 0.3162) x1  1 B 1.42
O (0.5000, 0.0000, 0.5008) x1  6 Mg 2.11-2.21
O (0.5000, 0.0000, 0.9978) x1  4 Mg 2.12-2.18, 2 K 2.21
O (0.5000, 0.2536, 0.2508) x2  6 Mg 2.12-2.21
O (0.5000, 0.2568, 0.7494) x2  6 Mg 2.11-2.22
O (0.5000, 0.5000, 0.0063) x1  6 Mg 2.15-2.32
O (0.5000, 0.5000, 0.4984) x1  4 Mg 2.01-2.14, 2 B 2.21

Results
Total moment = 0.000 μB/f.u.
ΔH_f (0 K) = -80.290 eV/f.u.


# 5
KMg6BO7: optimized geometry, PBE.

a = 4.4532 Å, b = 4.4532 Å, c = 8.5713 Å
α = 90.00°, β = 90.00°, γ = 90.00°
Closest atoms and distances in Å follow each position.
Space group P4mm (No. 99)
Symmetry-distinct sites (fractional):
K (0.0000, 0.0000, 0.0000) x1  4 O 2.26
Mg (0.0000, 0.0000, 0.4707) x1  1 O 1.95
Mg (0.0000, 0.5000, 0.2068) x2  4 O 2.18-2.25
Mg (0.0000, 0.5000, 0.7207) x2  2 O 1.99-2.15
Mg (0.5000, 0.5000, 0.4563) x1  1 O 1.97
B (0.5000, 0.5000, 0.9056) x1  1 O 1.38
O (0.0000, 0.0000, 0.6984) x1  1 Mg 1.95
O (0.0000, 0.5000, 0.4697) x2  6 Mg 2.15-2.25
O (0.0000, 0.5000, 0.9524) x2  2 Mg 1.99-2.18
O (0.5000, 0.5000, 0.2267) x1  1 Mg 1.97
O (0.5000, 0.5000, 0.7442) x1  1 B 1.38

Results
Total moment = 0.667 μB/f.u.
ΔH_f (0 K) = -30.337 eV/f.u.


# 6
KMg14BO15: optimized geometry, PBE.

a = 4.5037 Å, b = 8.3091 Å, c = 8.6976 Å
α = 90.00°, β = 90.00°, γ = 90.00°
Closest atoms and distances in Å follow each position.
Space group Pmm2 (No. 25)
Symmetry-distinct sites (fractional):
K (0.0000, 0.0000, 0.0000) x1  3 O 2.26-2.46
Mg (0.0000, 0.0000, 0.5183) x1  5 O 2.05-2.25
Mg (0.0000, 0.2433, 0.2701) x2  6 O 2.02-2.27
Mg (0.0000, 0.2663, 0.7537) x2  2 O 1.95-2.15
Mg (0.0000, 0.5000, 0.5097) x1  3 O 1.97-2.04
Mg (0.5000, 0.0000, 0.2638) x1  6 O 2.08-2.26
Mg (0.5000, 0.0000, 0.7607) x1  4 O 2.11-2.24
Mg (0.5000, 0.2504, 0.5122) x2  6 O 2.08-2.25
Mg (0.5000, 0.2617, 0.0163) x2  4 O 1.98-2.17
Mg (0.5000, 0.5000, 0.2608) x1  6 O 2.05-2.25
Mg (0.5000, 0.5000, 0.7733) x1  5 O 2.05-2.27
B (0.0000, 0.5000, 0.0760) x1  3 O 1.46-1.49
O (0.0000, 0.0000, 0.2830) x1  5 Mg 2.02-2.26
O (0.0000, 0.2545, 0.5066) x2  6 Mg 2.04-2.25
O (0.0000, 0.3328, 0.0241) x2  1 B 1.46
O (0.0000, 0.5000, 0.2478) x1  1 B 1.49
O (0.0000, 0.5000, 0.7362) x1  3 Mg 1.95-1.97
O (0.5000, 0.0000, 0.0186) x1  4 Mg 2.13-2.24, 2 K 2.26
O (0.5000, 0.0000, 0.5138) x1  6 Mg 2.08-2.25
O (0.5000, 0.2498, 0.2625) x2  6 Mg 2.08-2.25
O (0.5000, 0.2534, 0.7681) x2  6 Mg 2.05-2.26
O (0.5000, 0.5000, 0.0252) x1  4 Mg 1.98-2.19
O (0.5000, 0.5000, 0.5006) x1  5 Mg 2.08-2.25

Results
Total moment = 0.002 μB/f.u.
ΔH_f (0 K) = -82.840 eV/f.u.


> Which of these has the highest total moment?

number 5


Copy entry 4 word for word.
KMg14BO15: optimized geometry, PBE.

a = 4.4151 Å, b = 8.6488 Å, c = 8.5127 Å
α = 90.00°, β = 90.00°, γ = 90.00°
Closest atoms and distances in Å follow each position.
Space group Pmm2 (No. 25)
Symmetry-distinct sites (fractional):
K (0.0000, 0.0000, 0.0000) x1  6 O 2.21-2.42
Mg (0.0000, 0.0000, 0.4998) x1  2 O 1.92
Mg (0.0000, 0.2414, 0.2569) x2  6 O 2.07-2.29
Mg (0.0000, 0.2427, 0.7419) x2  5 O 2.06-2.24
Mg (0.0000, 0.5000, 0.9988) x1  2 O 1.90
Mg (0.5000, 0.0000, 0.2511) x1  6 O 2.13-2.22
Mg (0.5000, 0.0000, 0.7488) x1  6 O 2.11-2.22
Mg (0.5000, 0.2518, 0.0007) x2  6 O 2.13-2.22
Mg (0.5000, 0.2524, 0.4996) x2  6 O 2.12-2.21
Mg (0.5000, 0.5000, 0.2603) x1  6 O 2.03-2.26
Mg (0.5000, 0.5000, 0.7344) x1  3 O 2.01-2.11
B (0.0000, 0.5000, 0.4830) x1  1 O 1.42
O (0.0000, 0.0000, 0.2744) x1  3 Mg 1.92-2.09
O (0.0000, 0.0000, 0.7255) x1  3 Mg 1.92-2.10
O (0.0000, 0.2538, 0.4998) x2  5 Mg 2.06-2.21, 1 B 2.13
O (0.0000, 0.2799, 0.0023) x2  1 Mg 1.90
O (0.0000, 0.5000, 0.3162) x1  1 B 1.42
O (0.5000, 0.0000, 0.5008) x1  6 Mg 2.11-2.21
O (0.5000, 0.0000, 0.9978) x1  4 Mg 2.12-2.18, 2 K 2.21
O (0.5000, 0.2536, 0.2508) x2  6 Mg 2.12-2.21
O (0.5000, 0.2568, 0.7494) x2  6 Mg 2.11-2.22
O (0.5000, 0.5000, 0.0063) x1  6 Mg 2.15-2.32
O (0.5000, 0.5000, 0.4984) x1  4 Mg 2.01-2.14, 2 B 2.21

Results
Total moment = 0.000 μB/f.u.
ΔH_f (0 K) = -80.290 eV/f.u.